Record 1
# Li5Mn3Cu2P6O24 | the Materials Project database | PBE+U | optimized geometry
# Total moment = 10.002 μB per formula unit
# Formation energy = -2.3625 eV/atom
# Corrected total energy (MP2020 scheme) = -7.27 eV per atom
# SG = P1, No. 1
data_Li5Mn3Cu2P6O24
_space_group_name_H-M_alt 'P 1'
_space_group_IT_number 1
_cell_length_a 8.228
_cell_length_b 8.395
_cell_length_c 8.845
_cell_angle_alpha 115.84
_cell_angle_beta 94.15
_cell_angle_gamma 116.84
loop_
_space_group_symop_operation_xyz
'x,y,z'
loop_
_atom_site_label
_atom_site_type_symbol
_atom_site_fract_x
_atom_site_fract_y
_atom_site_fract_z
Li1 Li 0.000 0.000 0.000
Li2 Li 0.016 0.800 0.148
Li3 Li 0.093 0.610 0.457
Li4 Li 0.186 0.135 0.489
Li5 Li 0.672 0.654 0.184
Mn1 Mn 0.222 0.438 0.987
Mn2 Mn 0.507 0.837 0.679
Mn3 Mn 0.716 0.423 0.487
Cu1 Cu 0.369 0.131 0.828
Cu2 Cu 0.845 0.110 0.309
P1 P 0.113 0.655 0.790
P2 P 0.297 0.351 0.296
P3 P 0.429 0.930 0.370
P4 P 0.605 0.615 0.866
P5 P 0.810 0.330 0.075
P6 P 0.911 0.912 0.575
O1 O 0.058 0.786 0.929
O2 O 0.111 0.161 0.279
O3 O 0.124 0.092 0.707
O4 O 0.176 0.536 0.841
O5 O 0.259 0.953 0.335
O6 O 0.265 0.810 0.739
O7 O 0.274 0.302 0.099
O8 O 0.306 0.551 0.426
O9 O 0.409 0.730 0.226
O10 O 0.455 0.960 0.560
O11 O 0.459 0.456 0.918
O12 O 0.480 0.355 0.350
O13 O 0.508 0.705 0.805
O14 O 0.607 0.153 0.927
O15 O 0.624 0.116 0.388
O16 O 0.653 0.484 0.717
O17 O 0.767 0.923 0.671
O18 O 0.772 0.798 0.043
O19 O 0.829 0.306 0.242
O20 O 0.840 0.543 0.137
O21 O 0.886 0.943 0.415
O22 O 0.892 0.699 0.506
O23 O 0.955 0.473 0.600
O24 O 0.965 0.301 0.999



Record 2
# Li3Mn2SnO6 | the Materials Project database | PBE+U | optimized geometry
# Total moment = 1.000 μB per formula unit
# Formation energy = -2.1204 eV/atom
# Corrected total energy (MP2020 scheme) = -6.93 eV per atom
# Energy above the most stable polymorph in this dataset = 0.000 eV per atom
# SG = P-1, No. 2
data_Li3Mn2SnO6
_space_group_name_H-M_alt 'P 1'
_space_group_IT_number 1
_cell_length_a 6.196
_cell_length_b 6.890
_cell_length_c 6.921
_cell_angle_alpha 94.74
_cell_angle_beta 103.16
_cell_angle_gamma 116.65
loop_
_space_group_symop_operation_xyz
'x,y,z'
loop_
_atom_site_label
_atom_site_type_symbol
_atom_site_fract_x
_atom_site_fract_y
_atom_site_fract_z
Li1 Li 0.232 0.300 0.332
Li2 Li 0.238 0.652 0.655
Li3 Li 0.248 0.999 0.000
Li4 Li 0.752 0.001 0.000
Li5 Li 0.762 0.348 0.345
Li6 Li 0.768 0.700 0.668
Mn1 Mn 0.008 0.845 0.338
Mn2 Mn 0.486 0.152 0.658
Mn3 Mn 0.514 0.848 0.342
Mn4 Mn 0.992 0.155 0.662
Sn1 Sn 0.000 0.500 0.000
Sn2 Sn 0.500 0.500 0.000
O1 O 0.112 0.604 0.319
O2 O 0.112 0.934 0.674
O3 O 0.143 0.275 0.021
O4 O 0.343 0.064 0.328
O5 O 0.346 0.398 0.683
O6 O 0.365 0.733 0.995
O7 O 0.635 0.267 0.005
O8 O 0.654 0.602 0.317
O9 O 0.657 0.936 0.672
O10 O 0.857 0.725 0.979
O11 O 0.888 0.066 0.326
O12 O 0.888 0.396 0.681



Record 3
# MgCrPbO3 | the Materials Project database | PBE+U | optimized geometry
# Total moment = 3.999 μB per formula unit
# Formation energy = -1.5808 eV/atom
# Corrected total energy (MP2020 scheme) = -6.55 eV per atom
# Energy above the most stable polymorph in this dataset = 0.393 eV per atom
# SG = P4/mmm, No. 123
data_MgCrPbO3
_space_group_name_H-M_alt 'P 1'
_space_group_IT_number 1
_cell_length_a 3.936
_cell_length_b 3.936
_cell_length_c 6.229
_cell_angle_alpha 90.00
_cell_angle_beta 90.00
_cell_angle_gamma 90.00
loop_
_space_group_symop_operation_xyz
'x,y,z'
loop_
_atom_site_label
_atom_site_type_symbol
_atom_site_fract_x
_atom_site_fract_y
_atom_site_fract_z
Mg1 Mg 0.000 0.000 0.000
Cr1 Cr 0.500 0.500 0.000
Pb1 Pb 0.000 0.000 0.500
O1 O 0.000 0.500 0.000
O2 O 0.500 0.000 0.000
O3 O 0.500 0.500 0.500



E: -269.5, -151.5, -35.2 (eV per cell)
V: 11.6, 10.5, 16.1 (Å³ per atom)